(1)
Here is a geometry-optimized Na18Mg8Ta4Si9S9O72 structure from the Materials Project. Energies are from PBE.

Lattice parameters (Å, degrees): 9.0279 9.0339 22.3862 90.68 89.69 119.88
Positions (direct):
Na: 0.6567 0.0302 0.2588
Na: 0.3415 0.3320 0.2540
Na: 0.9931 0.6335 0.2405
Na: 0.6409 0.6341 0.7321
Na: 0.9899 0.3384 0.7364
Na: 0.3769 0.0333 0.7500
Na: 0.2974 0.3414 0.5917
Na: 0.0230 0.6874 0.5867
Na: 0.6770 0.9535 0.5814
Na: 0.2779 0.9460 0.0837
Na: 0.6798 0.7049 0.0846
Na: 0.0300 0.3410 0.0961
Na: 0.9709 0.9959 0.4980
Na: 0.0116 0.9830 0.9928
Na: 0.6451 0.3121 0.8232
Na: 0.6626 0.3098 0.3319
Na: 0.3041 0.6612 0.1670
Na: 0.3380 0.6500 0.6550
Mg: 0.0022 0.0180 0.3521
Mg: 0.0165 0.0158 0.8491
Mg: 0.9865 0.0142 0.6461
Mg: 0.0136 0.9981 0.1555
Mg: 0.6686 0.3345 0.6837
Mg: 0.6751 0.3320 0.1877
Mg: 0.3182 0.6734 0.0155
Mg: 0.3479 0.6675 0.5193
Ta: 0.6696 0.3380 0.9753
Ta: 0.6758 0.3301 0.4815
Ta: 0.3332 0.6756 0.3175
Ta: 0.3408 0.6797 0.8139
Si: 0.2930 0.0017 0.2491
Si: 0.0004 0.2934 0.2476
Si: 0.2967 0.2923 0.7496
Si: 0.7167 0.0054 0.7514
Si: 0.9701 0.3397 0.5863
Si: 0.6700 0.6291 0.5859
Si: 0.9613 0.6299 0.0859
Si: 0.3195 0.9608 0.9223
Si: 0.6380 0.9633 0.4224
S: 0.7018 0.7066 0.2499
S: 0.0031 0.7091 0.7526
S: 0.3763 0.0427 0.5831
S: 0.6660 0.0424 0.0813
S: 0.3803 0.3375 0.0816
S: 0.6218 0.6656 0.9197
S: 0.0403 0.3732 0.9196
S: 0.3372 0.3751 0.4175
S: 0.0379 0.6668 0.4189
O: 0.1951 0.0266 0.3043
O: 0.8117 0.7859 0.3014
O: 0.9568 0.1604 0.3001
O: 0.2160 0.1669 0.8050
O: 0.9812 0.7922 0.8055
O: 0.8268 0.0248 0.8093
O: 0.7688 0.9429 0.6907
O: 0.1805 0.2297 0.6891
O: 0.0449 0.8100 0.6978
O: 0.7683 0.8094 0.1942
O: 0.0481 0.2282 0.1851
O: 0.1836 0.9419 0.1867
O: 0.8827 0.3674 0.6451
O: 0.4795 0.1179 0.6376
O: 0.6386 0.5112 0.6432
O: 0.8659 0.5140 0.1429
O: 0.6349 0.1165 0.1358
O: 0.4784 0.3578 0.1362
O: 0.4735 0.3157 0.0282
O: 0.8301 0.5152 0.0270
O: 0.6816 0.1536 0.0285
O: 0.4682 0.1544 0.5295
O: 0.6784 0.5109 0.5262
O: 0.8328 0.3125 0.5272
O: 0.5366 0.6758 0.9744
O: 0.1376 0.4548 0.9740
O: 0.3181 0.8674 0.9826
O: 0.5365 0.8610 0.4800
O: 0.3185 0.4589 0.4710
O: 0.1382 0.6816 0.4718
O: 0.1260 0.6387 0.3631
O: 0.5051 0.8552 0.3619
O: 0.3550 0.4830 0.3623
O: 0.1187 0.4799 0.8662
O: 0.3498 0.8574 0.8641
O: 0.5110 0.6372 0.8660
O: 0.0175 0.8133 0.4094
O: 0.8218 0.9834 0.4123
O: 0.1897 0.2050 0.4107
O: 0.0093 0.1994 0.9143
O: 0.1579 0.9848 0.9135
O: 0.7923 0.8104 0.9131
O: 0.9799 0.1661 0.5812
O: 0.2090 0.0339 0.5855
O: 0.8516 0.8078 0.5837
O: 0.9702 0.8161 0.0834
O: 0.8271 0.0372 0.0831
O: 0.2098 0.1830 0.0809
O: 0.6785 0.1627 0.7457
O: 0.4939 0.3362 0.7449
O: 0.8571 0.5352 0.7478
O: 0.6698 0.5298 0.2420
O: 0.8449 0.3363 0.2456
O: 0.4861 0.1657 0.2428
O: 0.6348 0.5013 0.9223
O: 0.8623 0.3603 0.9242
O: 0.5068 0.1556 0.9254
O: 0.6411 0.1536 0.4211
O: 0.4993 0.3665 0.4185
O: 0.8662 0.5040 0.4198
O: 0.3684 0.4942 0.0737
O: 0.1482 0.6410 0.0806
O: 0.5209 0.8657 0.0747
O: 0.3527 0.8698 0.5755
O: 0.5040 0.6525 0.5794
O: 0.1506 0.5130 0.5749
O: 0.3195 0.8270 0.2612
O: 0.5252 0.6886 0.2580
O: 0.1818 0.4869 0.2607
O: 0.3070 0.4855 0.7659
O: 0.1617 0.6847 0.7613
O: 0.5115 0.8277 0.7626

Values from the calculation:
Symmetry: P1



(2)
Here is a geometry-optimized Na18Mg16Ta8Si9S27O144 structure from the Materials Project. Energies are from PBE.

Lattice parameters (Å, degrees): 17.5984 8.8445 22.5533 90.02 90.30 120.07
Positions (direct):
Na: 0.3536 0.0376 0.9069
Na: 0.8456 0.0353 0.9080
Na: 0.6648 0.2843 0.9059
Na: 0.1648 0.0458 0.4109
Na: 0.3431 0.6516 0.4220
Na: 0.8532 0.6709 0.4108
Na: 0.0074 0.0339 0.4975
Na: 0.5086 0.0110 0.5013
Na: 0.0066 0.0044 0.9952
Na: 0.5054 0.9814 0.9913
Na: 0.3256 0.3281 0.8202
Na: 0.8240 0.3131 0.8224
Na: 0.3227 0.3188 0.3295
Na: 0.8255 0.3241 0.3215
Na: 0.1644 0.6718 0.1612
Na: 0.6730 0.6778 0.1607
Na: 0.1703 0.6682 0.6617
Na: 0.6697 0.6631 0.6648
Mg: 0.0059 0.0098 0.3499
Mg: 0.5061 0.0084 0.3523
Mg: 0.0036 0.0085 0.8493
Mg: 0.5053 0.0009 0.8498
Mg: 0.3298 0.3249 0.6869
Mg: 0.8280 0.3253 0.6878
Mg: 0.3277 0.3241 0.1844
Mg: 0.8307 0.3332 0.1874
Mg: 0.3311 0.3377 0.9813
Mg: 0.8325 0.3260 0.9788
Mg: 0.3304 0.3341 0.4829
Mg: 0.8303 0.3231 0.4852
Mg: 0.1658 0.6660 0.0189
Mg: 0.6661 0.6744 0.0170
Mg: 0.1655 0.6559 0.5209
Mg: 0.6653 0.6663 0.5204
Ta: 0.9994 0.0080 0.6505
Ta: 0.4991 0.0092 0.6522
Ta: 0.9996 0.9875 0.1504
Ta: 0.5043 0.9985 0.1464
Ta: 0.1643 0.6609 0.3129
Ta: 0.6688 0.6737 0.3090
Ta: 0.1674 0.6623 0.8086
Ta: 0.6711 0.6796 0.8098
Si: 0.1530 0.0080 0.2550
Si: 0.6492 0.0084 0.2544
Si: 0.8585 0.7032 0.2566
Si: 0.1501 0.2883 0.7544
Si: 0.6506 0.2991 0.7559
Si: 0.3574 0.0120 0.7569
Si: 0.8571 0.0129 0.7557
Si: 0.6629 0.9600 0.9210
Si: 0.1635 0.3647 0.4204
S: 0.3556 0.7109 0.2513
S: 0.0003 0.2889 0.2497
S: 0.4978 0.2865 0.2511
S: 0.9991 0.7120 0.7511
S: 0.4991 0.7099 0.7497
S: 0.4788 0.3341 0.5827
S: 0.9786 0.3349 0.5845
S: 0.1849 0.0335 0.5816
S: 0.6848 0.0360 0.5828
S: 0.3356 0.6304 0.5829
S: 0.8344 0.6270 0.5810
S: 0.4776 0.6187 0.0859
S: 0.9788 0.6213 0.0831
S: 0.3326 0.0388 0.0825
S: 0.8350 0.0413 0.0837
S: 0.1864 0.3360 0.0836
S: 0.6872 0.3393 0.0831
S: 0.3093 0.6608 0.9184
S: 0.8141 0.6680 0.9185
S: 0.0232 0.3779 0.9192
S: 0.5194 0.3798 0.9194
S: 0.1646 0.9543 0.9190
S: 0.3142 0.9575 0.4168
S: 0.8097 0.9591 0.4184
S: 0.6649 0.3763 0.4187
S: 0.0200 0.6589 0.4191
S: 0.5217 0.6664 0.4178
O: 0.1097 0.0237 0.3144
O: 0.6010 0.0301 0.3090
O: 0.4036 0.7923 0.3059
O: 0.9062 0.7955 0.3168
O: 0.4831 0.1811 0.3038
O: 0.9890 0.1893 0.3029
O: 0.1070 0.1738 0.8107
O: 0.6087 0.1883 0.8139
O: 0.4867 0.7871 0.8026
O: 0.9870 0.7893 0.8040
O: 0.4056 0.0156 0.8167
O: 0.9031 0.0155 0.8167
O: 0.4028 0.9683 0.6972
O: 0.9049 0.9710 0.6964
O: 0.0848 0.1924 0.6937
O: 0.5832 0.1920 0.6960
O: 0.0177 0.8280 0.6971
O: 0.5156 0.8259 0.6957
O: 0.3987 0.8291 0.1983
O: 0.9045 0.8383 0.1972
O: 0.0178 0.2097 0.1961
O: 0.5126 0.2007 0.1973
O: 0.0854 0.9774 0.1956
O: 0.5832 0.9755 0.1934
O: 0.4378 0.3534 0.6357
O: 0.9343 0.3485 0.6365
O: 0.2394 0.1228 0.6333
O: 0.7378 0.1212 0.6352
O: 0.3280 0.5219 0.6335
O: 0.8261 0.5198 0.6323
O: 0.4337 0.5205 0.1389
O: 0.9385 0.5223 0.1365
O: 0.3236 0.1268 0.1345
O: 0.8266 0.1314 0.1353
O: 0.2390 0.3593 0.1369
O: 0.7387 0.3561 0.1355
O: 0.2240 0.3039 0.0301
O: 0.7199 0.3037 0.0283
O: 0.4260 0.5472 0.0316
O: 0.9258 0.5456 0.0293
O: 0.3492 0.1406 0.0276
O: 0.8481 0.1392 0.0281
O: 0.2203 0.1335 0.5259
O: 0.7210 0.1401 0.5282
O: 0.3478 0.5588 0.5262
O: 0.8468 0.5533 0.5248
O: 0.4263 0.3046 0.5284
O: 0.9280 0.3058 0.5292
O: 0.2668 0.6880 0.9699
O: 0.7710 0.6918 0.9702
O: 0.0769 0.4641 0.9715
O: 0.5746 0.4604 0.9721
O: 0.1569 0.8516 0.9719
O: 0.6552 0.8484 0.9780
O: 0.2728 0.8499 0.4688
O: 0.7661 0.8453 0.4690
O: 0.1597 0.4749 0.4740
O: 0.6571 0.4648 0.4710
O: 0.0770 0.6888 0.4701
O: 0.5768 0.6940 0.4699
O: 0.0664 0.6443 0.3630
O: 0.5668 0.6493 0.3631
O: 0.2553 0.8693 0.3618
O: 0.7533 0.8653 0.3625
O: 0.1769 0.4981 0.3589
O: 0.6754 0.4880 0.3642
O: 0.0680 0.4847 0.8645
O: 0.5630 0.4835 0.8650
O: 0.1764 0.8643 0.8651
O: 0.6754 0.8528 0.8611
O: 0.2534 0.6422 0.8634
O: 0.7568 0.6409 0.8634
O: 0.0091 0.8129 0.4129
O: 0.5067 0.8173 0.4118
O: 0.3995 0.9666 0.4072
O: 0.8961 0.9744 0.4116
O: 0.0788 0.1730 0.4143
O: 0.5861 0.2032 0.4129
O: 0.0114 0.2003 0.9150
O: 0.5072 0.2011 0.9151
O: 0.0862 0.9706 0.9130
O: 0.5790 0.9849 0.9133
O: 0.3959 0.8179 0.9120
O: 0.9011 0.8253 0.9122
O: 0.4873 0.1671 0.5889
O: 0.9878 0.1682 0.5899
O: 0.0937 0.0130 0.5887
O: 0.5933 0.0150 0.5893
O: 0.4183 0.8103 0.5891
O: 0.9166 0.8073 0.5878
O: 0.4854 0.8051 0.0926
O: 0.9876 0.8068 0.0896
O: 0.4138 0.0185 0.0923
O: 0.9188 0.0278 0.0912
O: 0.0953 0.1737 0.0906
O: 0.5926 0.1719 0.0918
O: 0.3465 0.1745 0.7432
O: 0.8481 0.1775 0.7424
O: 0.2480 0.3421 0.7407
O: 0.7470 0.3416 0.7418
O: 0.4260 0.5376 0.7381
O: 0.9271 0.5392 0.7392
O: 0.3469 0.5409 0.2416
O: 0.8466 0.5179 0.2434
O: 0.4267 0.3205 0.2400
O: 0.9276 0.3181 0.2394
O: 0.2484 0.1694 0.2437
O: 0.7464 0.1545 0.2419
O: 0.3144 0.5004 0.9211
O: 0.8195 0.5075 0.9220
O: 0.4307 0.3623 0.9236
O: 0.9362 0.3650 0.9211
O: 0.2473 0.1277 0.9216
O: 0.7542 0.1517 0.9183
O: 0.3216 0.1301 0.4193
O: 0.8145 0.1291 0.4208
O: 0.2545 0.3542 0.4185
O: 0.7472 0.3673 0.4205
O: 0.4354 0.5045 0.4204
O: 0.9334 0.4984 0.4209
O: 0.1740 0.4887 0.0776
O: 0.6711 0.4864 0.0784
O: 0.0694 0.6543 0.0777
O: 0.5671 0.6491 0.0830
O: 0.2568 0.8603 0.0779
O: 0.7606 0.8601 0.0807
O: 0.1728 0.8559 0.5767
O: 0.6731 0.8587 0.5770
O: 0.2601 0.6601 0.5802
O: 0.7580 0.6542 0.5767
O: 0.0682 0.4860 0.5812
O: 0.5693 0.4830 0.5771
O: 0.1551 0.8190 0.2566
O: 0.6464 0.8134 0.2578
O: 0.2657 0.6956 0.2537
O: 0.7573 0.6882 0.2595
O: 0.0841 0.4699 0.2545
O: 0.5829 0.4593 0.2567
O: 0.1467 0.4784 0.7587
O: 0.6457 0.4826 0.7587
O: 0.0833 0.7025 0.7569
O: 0.5826 0.7004 0.7537
O: 0.2570 0.8252 0.7601
O: 0.7582 0.8255 0.7557

Values from the calculation:
Symmetry: P1



| no. | energy of formation (eV/atom) | E (eV/atom) |
| --- | --- | --- |
| 1 | -2.570 | -6.5441 |
| 2 | -2.481 | -6.6181 |